Below is an optimized crystal structure of NbZnPS2O12, with properties calculated at the PBE level.

abc: 15.184 8.759 22.518
angles: 90.00 90.06 90.00
Space group Cc (No. 9)
Asymmetric unit:
1 Nb 0.000 0.000 0.000 [4 per cell]
2 Nb 0.158 0.491 0.167 [4 per cell]
3 Nb 0.328 0.002 0.833 [4 per cell]
4 Zn 0.162 0.499 0.457 [4 per cell]
5 Zn 0.327 0.002 0.623 [4 per cell]
6 Zn 0.496 0.492 0.790 [4 per cell]
7 P 0.138 0.153 0.392 [4 per cell]
8 P 0.166 0.211 0.058 [4 per cell]
9 P 0.468 0.151 0.726 [4 per cell]
10 S 0.015 0.360 0.559 [4 per cell]
11 S 0.181 0.142 0.726 [4 per cell]
12 S 0.304 0.352 0.559 [4 per cell]
13 S 0.331 0.290 0.226 [4 per cell]
14 S 0.348 0.361 0.893 [4 per cell]
15 S 0.497 0.212 0.392 [4 per cell]
16 O 0.007 0.186 0.552 [4 per cell]
17 O 0.008 0.195 0.840 [4 per cell]
18 O 0.056 0.424 0.507 [4 per cell]
19 O 0.064 0.432 0.217 [4 per cell]
20 O 0.071 0.389 0.902 [4 per cell]
21 O 0.073 0.378 0.614 [4 per cell]
22 O 0.077 0.112 0.051 [4 per cell]
23 O 0.082 0.116 0.339 [4 per cell]
24 O 0.094 0.068 0.449 [4 per cell]
25 O 0.094 0.080 0.736 [4 per cell]
26 O 0.145 0.316 0.116 [4 per cell]
27 O 0.151 0.318 0.405 [4 per cell]
28 O 0.175 0.311 0.005 [4 per cell]
29 O 0.175 0.314 0.719 [4 per cell]
30 O 0.222 0.075 0.674 [4 per cell]
31 O 0.231 0.070 0.383 [4 per cell]
32 O 0.240 0.119 0.780 [4 per cell]
33 O 0.241 0.106 0.071 [4 per cell]
34 O 0.248 0.387 0.219 [4 per cell]
35 O 0.251 0.380 0.507 [4 per cell]
36 O 0.261 0.420 0.902 [4 per cell]
37 O 0.264 0.429 0.614 [4 per cell]
38 O 0.311 0.192 0.281 [4 per cell]
39 O 0.317 0.190 0.569 [4 per cell]
40 O 0.341 0.186 0.885 [4 per cell]
41 O 0.342 0.196 0.174 [4 per cell]
42 O 0.389 0.425 0.840 [4 per cell]
43 O 0.394 0.428 0.551 [4 per cell]
44 O 0.405 0.389 0.237 [4 per cell]
45 O 0.406 0.379 0.947 [4 per cell]
46 O 0.413 0.115 0.386 [4 per cell]
47 O 0.415 0.114 0.672 [4 per cell]
48 O 0.427 0.067 0.782 [4 per cell]
49 O 0.428 0.079 0.069 [4 per cell]
50 O 0.477 0.309 0.447 [4 per cell]
51 O 0.484 0.317 0.737 [4 per cell]

Summary:
Total magnetic moment in μB per atom: 0.000
Formation energy from the elements in eV per atom: -2.229
Electronic total energy in eV per atom: -6.7103